A relaxed BaAgO2 crystal, computed with PBE.

DFT formation energy = -1.719 eV/atom
Spin magnetization = 0.000 Bohr magnetons per cell
Calculated volume = 150 Å³/cell
Space-group type = C2/m
MP2020-corrected energy = -43.05 eV for the cell shown

a = 6.3002 Å, b = 6.3002 Å, c = 3.9174 Å
α = 89.50°, β = 89.50°, γ = 105.29°
Closest atoms and distances in Å follow each position.
Fractional coordinates of all 8 atoms:
O1 0.7065 0.2935 0.5000  1 Ag 2.07
Ba1 0.5000 0.0000 0.0000  6 O 2.72-2.79
Ba2 0.0000 0.5000 0.0000  6 O 2.72-2.79
O2 0.2935 0.7065 0.5000  1 Ag 2.07
Ag1 0.5000 0.5000 0.5000  4 O 2.07-2.11
Ag2 0.0000 0.0000 0.5000  2 O 2.11
O3 0.7519 0.7519 0.2732  2 Ag 2.11
O4 0.2481 0.2481 0.7268  2 Ag 2.11